Record 1
DFT (PBE with a Hubbard U) results for CaMn3C6O6 after structural relaxation.

The value obtained for the energy relative to the elements is -516 meV per atom. As for the size of the total moment: 13.1 μB per formula unit.

Cell: 6.1994 7.7574 24.5667 Å, 88.16 88.55 76.03°
Closest atoms and distances in Å follow each position.
Atoms (fractional coordinates):
Ca1 0.0000 0.0000 0.0000  2 O 2.30, 4 C 2.47-2.51
Mn1 0.0000 0.0000 0.5000  2 O 5.77
Mn2 0.0000 0.5000 0.0000  2 C 1.99
Mn3 0.5000 0.5000 0.0000  4 C 2.07-2.13
C1 0.0946 0.0111 0.7429  2 O 1.18
C2 0.1889 0.6749 0.9966  1 C 1.34
C3 0.3352 0.7662 0.9780  1 O 1.27, 1 C 1.34
C4 0.6648 0.2338 0.0220  1 O 1.27, 1 C 1.34
C5 0.8111 0.3251 0.0034  1 C 1.34
C6 0.9054 0.9889 0.2571  2 O 1.18
O1 0.0261 0.1588 0.7563  1 C 1.18
O2 0.1630 0.8632 0.7296  1 C 1.18
O3 0.3543 0.9205 0.9631  1 C 1.27
O4 0.6457 0.0795 0.0369  1 C 1.27
O5 0.8370 0.1368 0.2704  1 C 1.18
O6 0.9739 0.8412 0.2437  1 C 1.18

***

Record 2
DFT (PBE with a Hubbard U) results for Sr2EuFeO5 after structural relaxation.

The value obtained for the energy relative to the elements is -2703 meV per atom. As for the size of the total moment: 11.0 μB per formula unit.

Cell: 7.5179 7.5064 6.8390 Å, 63.01 62.84 54.16°
Closest atoms and distances in Å follow each position.
Atoms (fractional coordinates):
Sr1 0.1731 0.8269 0.8269  4 O 2.41-2.53
Sr2 0.2500 0.2500 0.2500  10 O 2.87-2.90
Sr3 0.7500 0.7500 0.7500  10 O 2.87-2.90
Sr4 0.8269 0.1731 0.1731  4 O 2.41-2.53
Eu1 0.3199 0.6801 0.3199  4 O 2.32-2.51
Eu2 0.6801 0.3199 0.6801  4 O 2.32-2.51
Fe1 0.2482 0.2482 0.7518  4 O 1.87-1.90
Fe2 0.7518 0.7518 0.2482  4 O 1.87-1.90
O1 0.0000 0.0000 0.5000  2 Eu 2.51, 2 Sr 2.53
O2 0.0079 0.7065 0.2935  1 Fe 1.90
O3 0.2132 0.5008 0.7868  1 Fe 1.87
O4 0.2935 0.9921 0.0079  1 Fe 1.90
O5 0.4992 0.7868 0.5008  1 Fe 1.87
O6 0.5000 0.5000 0.0000  2 Eu 2.51, 2 Sr 2.53
O7 0.5008 0.2132 0.4992  1 Fe 1.87
O8 0.7065 0.0079 0.9921  1 Fe 1.90
O9 0.7868 0.4992 0.2132  1 Fe 1.87
O10 0.9921 0.2935 0.7065  1 Fe 1.90

***

Record 3
DFT (PBE with a Hubbard U) results for Li10Ti2Mn3Ni3O16 after structural relaxation.

The value obtained for the energy relative to the elements is -2183 meV per atom. As for the size of the total moment: 19.0 μB per formula unit.

Cell: 5.9511 5.9795 9.8607 Å, 90.36 91.23 119.47°
Closest atoms and distances in Å follow each position.
Atoms (fractional coordinates):
Li1 0.0000 0.0000 0.0000  3 O 1.96-2.01, 1 Li 2.17
Li2 0.0047 0.4068 0.9940  3 O 1.94-2.05, 1 Li 2.11
Li3 0.1334 0.2624 0.7764  6 O 2.12-2.33
Li4 0.2078 0.7961 0.4949  3 O 1.95-2.01, 1 Li 2.15
Li5 0.4200 0.4007 0.9885  3 O 1.94-2.10, 1 Li 2.12
Li6 0.4631 0.9291 0.2770  6 O 2.07-2.30
Li7 0.6119 0.2111 0.4867  3 O 1.92-2.06, 1 Li 2.11
Li8 0.6248 0.7985 0.4847  3 O 1.94-2.15, 1 Li 2.14
Li9 0.8099 0.6007 0.0591  4 O 1.89-1.91, 1 Li 2.11
Li10 0.8146 0.5966 0.5576  4 O 1.90-1.91, 1 Li 2.11
Ti1 0.1305 0.2503 0.5123  6 O 1.93-2.14
Ti2 0.4527 0.9179 0.0160  5 O 1.93-2.10
Mn1 0.4638 0.4246 0.2567  5 O 1.95-2.15
Mn2 0.6300 0.2521 0.7574  5 O 1.96-2.19
Mn3 0.6373 0.7630 0.7578  6 O 2.10-2.30
Ni1 0.1441 0.7650 0.7570  6 O 2.07-2.20
Ni2 0.9727 0.4279 0.2590  6 O 2.07-2.23
Ni3 0.9727 0.9353 0.2580  6 O 2.06-2.20
O1 0.0020 0.4351 0.6206  1 Li 1.90, 1 Ti 1.95
O2 0.1502 0.2729 0.1435  1 Mn 1.95, 3 Li 1.99-2.10, 2 Ni 2.07-2.11
O3 0.1534 0.7722 0.1276  1 Li 1.89, 1 Ti 1.93
O4 0.2921 0.0991 0.3874  3 Li 1.92-2.07, 1 Ti 2.04, 1 Ni 2.06, 1 Mn 2.15
O5 0.2992 0.0781 0.8899  3 Li 1.94-2.12, 1 Ti 2.03, 1 Ni 2.07
O6 0.3057 0.5754 0.3838  3 Li 1.95-2.14, 1 Mn 2.04, 1 Ni 2.09, 1 Ti 2.14
O7 0.3105 0.6185 0.8918  3 Li 1.94-2.16, 1 Ti 1.96, 1 Ni 2.08
O8 0.4759 0.4102 0.6284  1 Li 1.91, 1 Mn 2.04, 1 Ti 2.10
O9 0.4807 0.9457 0.6392  2 Mn 1.96-2.10, 3 Li 1.98-2.15, 1 Ni 2.12
O10 0.6249 0.2628 0.1296  1 Li 1.91, 1 Mn 2.09, 1 Ti 2.10
O11 0.6429 0.7837 0.1195  1 Li 1.90, 1 Ti 1.95
O12 0.7832 0.1013 0.8856  3 Li 1.94-2.14, 2 Mn 2.00-2.15
O13 0.7879 0.5897 0.3638  1 Li 1.91, 1 Mn 1.96, 2 Ni 2.07-2.10
O14 0.7984 0.5717 0.8655  1 Li 1.91, 2 Mn 1.96-2.10, 1 Ni 2.12
O15 0.8283 0.1103 0.3857  3 Li 1.94-2.15, 1 Ti 1.98, 2 Ni 2.08-2.09
O16 0.9867 0.9449 0.6195  1 Li 1.90, 1 Ti 1.93

***

Record 4
DFT (PBE with a Hubbard U) results for Li3V3P8O29 after structural relaxation.

The value obtained for the energy relative to the elements is -2519 meV per atom. As for the size of the total moment: 0.0 μB per formula unit. Its offset from the most stable computed form is 0.014 eV per atom.

Cell: 9.7571 9.7716 14.1939 Å, 90.07 90.08 119.88°
Closest atoms and distances in Å follow each position.
Atoms (fractional coordinates):
Li1 0.0000 0.0000 0.0000  2 O 1.92-1.95
Li2 0.0066 0.4211 0.4944  3 O 1.88-2.09
Li3 0.1509 0.0131 0.4897  3 O 1.89-2.03
Li4 0.2091 0.3554 0.0583  2 O 1.88-2.01
Li5 0.5609 0.4200 0.9966  3 O 1.95-2.13
Li6 0.9194 0.1003 0.6093  3 O 1.98-2.12
V1 0.2286 0.7577 0.8064  6 O 1.86-1.93
V2 0.2379 0.8900 0.2977  6 O 1.84-1.97
V3 0.6620 0.7555 0.3061  6 O 1.84-1.93
V4 0.6654 0.3231 0.8012  6 O 1.81-1.99
V5 0.7928 0.3228 0.2989  6 O 1.84-2.03
V6 0.7925 0.8829 0.8041  6 O 1.82-1.98
P1 0.0040 0.0098 0.2128  4 O 1.49-1.62
P2 0.0036 0.4132 0.7131  4 O 1.50-1.60
P3 0.1429 0.0055 0.7083  4 O 1.48-1.61
P4 0.1470 0.5460 0.2114  4 O 1.47-1.61
P5 0.3150 0.1020 0.8911  4 O 1.49-1.62
P6 0.3171 0.6379 0.3952  4 O 1.48-1.62
P7 0.4526 0.6300 0.8915  4 O 1.49-1.61
P8 0.4587 0.2387 0.3948  4 O 1.47-1.64
P9 0.5411 0.4119 0.2118  4 O 1.49-1.59
P10 0.5435 0.5507 0.7074  4 O 1.46-1.62
P11 0.5643 0.9887 0.6858  4 O 1.48-1.60
P12 0.5682 0.9897 0.1840  4 O 1.48-1.59
P13 0.8974 0.6586 0.9227  4 O 1.49-1.60
P14 0.9038 0.6615 0.4216  4 O 1.49-1.59
P15 0.9133 0.0966 0.3934  4 O 1.50-1.61
P16 0.9230 0.2375 0.8949  4 O 1.48-1.63
O1 0.0191 0.0960 0.1234  1 P 1.49
O2 0.0211 0.3148 0.7978  2 P 1.60-1.63
O3 0.0230 0.1196 0.3031  2 P 1.61-1.62
O4 0.0226 0.3160 0.9780  1 P 1.48
O5 0.0429 0.6544 0.8781  1 P 1.57
O6 0.0532 0.8080 0.3780  1 P 1.58
O7 0.1353 0.8466 0.7324  1 P 1.56
O8 0.1436 0.9767 0.2236  1 P 1.56
O9 0.1459 0.5812 0.7204  1 P 1.54
O10 0.1531 0.7080 0.2219  1 P 1.56
O11 0.2156 0.0707 0.6158  1 P 1.48
O12 0.2198 0.5257 0.1257  1 P 1.47
O13 0.2218 0.1107 0.9713  1 P 1.49
O14 0.2258 0.5569 0.4802  1 P 1.48
O15 0.2344 0.5297 0.3032  2 P 1.61-1.62
O16 0.2442 0.1236 0.7923  2 P 1.61-1.62
O17 0.3133 0.9422 0.8815  1 P 1.56
O18 0.3168 0.0658 0.3889  1 P 1.56
O19 0.3176 0.6696 0.8870  1 P 1.55
O20 0.3238 0.7980 0.3751  1 P 1.56
O21 0.4159 0.8484 0.7316  1 P 1.56
O22 0.4209 0.9943 0.2286  1 P 1.59
O23 0.4322 0.5314 0.7968  2 P 1.61-1.62
O24 0.4327 0.3167 0.2990  2 P 1.59-1.64
O25 0.4465 0.5352 0.9749  1 P 1.49
O26 0.4647 0.3240 0.4812  1 P 1.47
O27 0.4647 0.3430 0.1198  1 P 1.49
O28 0.4753 0.5620 0.6177  1 P 1.46
O29 0.4890 0.2408 0.8919  1 P 1.56
O30 0.4893 0.6691 0.3895  1 P 1.55
O31 0.5650 0.8426 0.2292  1 P 1.56
O32 0.5688 0.9946 0.0800  1 P 1.48
O33 0.5725 0.1417 0.7331  1 P 1.60
O34 0.5735 0.5830 0.2243  1 P 1.55
O35 0.5727 0.9989 0.5818  1 P 1.48
O36 0.5764 0.4111 0.7232  1 P 1.56
O37 0.6124 0.7890 0.8800  1 P 1.57
O38 0.6139 0.2341 0.3723  1 P 1.57
O39 0.7020 0.4145 0.2258  1 P 1.57
O40 0.7052 0.7046 0.7326  1 P 1.59
O41 0.7155 0.9895 0.7276  1 P 1.59
O42 0.7172 0.1399 0.2289  1 P 1.59
O43 0.7433 0.5108 0.8854  1 P 1.57
O44 0.7535 0.9453 0.3766  1 P 1.54
O45 0.7585 0.6680 0.3757  1 P 1.59
O46 0.7687 0.2453 0.8819  1 P 1.56
O47 0.8462 0.8553 0.2260  1 P 1.54
O48 0.8505 0.4221 0.7326  1 P 1.56
O49 0.8835 0.0615 0.8889  1 P 1.57
O50 0.8922 0.2435 0.3938  1 P 1.55
O51 0.8985 0.5086 0.3819  1 P 1.57
O52 0.9010 0.6739 0.0270  1 P 1.49
O53 0.9049 0.8128 0.8785  1 P 1.60
O54 0.9058 0.6689 0.5261  1 P 1.49
O55 0.9720 0.4135 0.2240  1 P 1.56
O56 0.9741 0.9853 0.7172  1 P 1.56
O57 0.9880 0.3281 0.6223  1 P 1.50
O58 0.9929 0.0859 0.4817  1 P 1.50

***

Record 5
DFT (PBE with a Hubbard U) results for CaSc4Fe4O12 after structural relaxation.

The value obtained for the energy relative to the elements is -2695 meV per atom. As for the size of the total moment: 18.0 μB per formula unit.

Cell: 5.1727 5.4579 8.9995 Å, 87.08 87.13 87.51°
Closest atoms and distances in Å follow each position.
Atoms (fractional coordinates):
Ca1 0.0000 0.0000 0.0000  4 O 2.17-2.36
Sc1 0.0533 0.7746 0.3418  5 O 2.08-2.21
Sc2 0.1843 0.5562 0.8164  6 O 2.08-2.29
Sc3 0.5438 0.0693 0.8064  6 O 2.10-2.26
Sc4 0.6165 0.2460 0.3907  5 O 1.99-2.17
Fe1 0.1000 0.1473 0.5884  6 O 1.99-2.17
Fe2 0.1465 0.3289 0.2118  4 O 2.01-2.13
Fe3 0.5813 0.5781 0.0780  4 O 1.99-2.20
Fe4 0.6718 0.6527 0.6237  5 O 1.95-2.12
O1 0.2741 0.0753 0.3830  2 Sc 2.04-2.10, 2 Fe 2.06-2.13
O2 0.3373 0.8509 0.6649  2 Fe 2.03-2.10, 2 Sc 2.14-2.20
O3 0.3619 0.3032 0.9726  2 Sc 2.13-2.17, 2 Fe 2.20-2.38
O4 0.3651 0.8033 0.9494  1 Fe 1.99, 2 Sc 2.10-2.12, 1 Ca 2.17
O5 0.4072 0.5533 0.2978  2 Fe 2.06-2.13, 2 Sc 2.11-2.18
O6 0.4173 0.3566 0.6505  2 Fe 2.12-2.15, 2 Sc 2.15-2.18
O7 0.8137 0.9511 0.5164  2 Fe 2.00-2.02, 2 Sc 2.17-2.19
O8 0.8239 0.7407 0.8070  1 Fe 1.95, 1 Sc 2.08
O9 0.8373 0.1165 0.2225  1 Sc 1.99, 1 Fe 2.01
O10 0.9024 0.4653 0.4832  2 Fe 1.98-2.17, 2 Sc 2.17-2.21
O11 0.9260 0.2359 0.7814  1 Fe 1.99, 1 Sc 2.21
O12 0.9351 0.6356 0.1467  2 Fe 2.00-2.04, 1 Sc 2.08

***

Record 6
DFT (PBE with a Hubbard U) results for ZnNi2O5 after structural relaxation.

The value obtained for the energy relative to the elements is -618 meV per atom. As for the size of the total moment: 4.0 μB per formula unit. Its offset from the most stable computed form is 0.080 eV per atom.

Cell: 3.8314 10.7565 5.5685 Å, 90.00 90.00 90.00°
Closest atoms and distances in Å follow each position.
Atoms (fractional coordinates):
Zn1 0.2500 0.2500 0.2294  4 O 1.96-2.11
Zn2 0.7500 0.7500 0.7706  4 O 1.96-2.11
Ni1 0.2500 0.5972 0.5068  5 O 1.96-2.04
Ni2 0.2500 0.9028 0.5068  5 O 1.96-2.04
Ni3 0.7500 0.0972 0.4932  5 O 1.96-2.04
Ni4 0.7500 0.4028 0.4932  5 O 1.96-2.04
O1 0.2500 0.0790 0.4151  3 Ni 1.96-1.97, 1 Zn 2.11
O2 0.2500 0.4210 0.4151  3 Ni 1.96-1.97, 1 Zn 2.11
O3 0.2500 0.6887 0.1863  1 O 1.32
O4 0.2500 0.7500 0.7004  2 Zn 1.96, 2 Ni 1.97
O5 0.2500 0.8113 0.1863  1 O 1.32
O6 0.7500 0.1887 0.8137  1 O 1.32
O7 0.7500 0.2500 0.2996  2 Zn 1.96, 2 Ni 1.97
O8 0.7500 0.3113 0.8137  1 O 1.32
O9 0.7500 0.5790 0.5849  3 Ni 1.96-1.97, 1 Zn 2.11
O10 0.7500 0.9210 0.5849  3 Ni 1.96-1.97, 1 Zn 2.11

***

no.,raw total energy (hartree per atom)
1,-0.2611
2,-0.2674
3,-0.2264
4,-0.2590
5,-0.2798
6,-0.1682